Compound: MgIr2
Source: the Materials Project
Functional: GGA-PBE
Structure: optimized geometry

Properties
**Electronic total energy**: -6.73 eV per atom

Geometry as CIF:
```
data_MgIr2
_chemical_formula_sum 'Mg4 Ir8'
_cell_length_a 5.2125
_cell_length_b 5.2125
_cell_length_c 8.4530
_cell_angle_alpha 90.00
_cell_angle_beta 90.00
_cell_angle_gamma 120.00
_space_group_name_H-M_alt 'P 63/m m c'
_space_group_IT_number 194
_space_group_name_Hall '-P 6c 2c'
loop_
_atom_site_label
_atom_site_fract_x
_atom_site_fract_y
_atom_site_fract_z
_atom_site_occupancy
Mg1 0.3333 0.6667 0.0694 1
Ir1 0.0000 0.0000 0.0000 1
Ir2 0.1719 0.3437 0.7500 1
```